No. 1
Entry from the Materials Project: an optimized crystal structure of LiCuF4 (PBE-GGA).

The magnetic moment comes out at 0.82 μB/f.u.

```
data_LiCuF4
_chemical_formula_sum 'Li4 Cu4 F16'
_space_group_name_H-M_alt 'P b c n'
_space_group_IT_number 60
_space_group_name_Hall '-P 2n 2ab'
_cell_length_a 4.691
_cell_length_b 5.534
_cell_length_c 10.071
_cell_angle_alpha 90.00
_cell_angle_beta 90.00
_cell_angle_gamma 90.00
loop_
_atom_site_label
_atom_site_type_symbol
_atom_site_fract_x
_atom_site_fract_y
_atom_site_fract_z
Li1 Li 0.000 0.000 0.000
Cu1 Cu 0.000 0.319 0.250
F1 F 0.181 0.304 0.086
F2 F 0.243 0.063 0.321
```

No. 2
Entry from the Materials Project: an optimized crystal structure of Ti2FeIr (PBE-GGA).

```
data_Ti2FeIr
_chemical_formula_sum 'Ti8 Fe4 Ir4'
_space_group_name_H-M_alt 'F m -3 m'
_space_group_IT_number 225
_space_group_name_Hall '-F 4 2 3'
_cell_length_a 6.122
_cell_length_b 6.122
_cell_length_c 6.122
_cell_angle_alpha 90.00
_cell_angle_beta 90.00
_cell_angle_gamma 90.00
loop_
_atom_site_label
_atom_site_type_symbol
_atom_site_fract_x
_atom_site_fract_y
_atom_site_fract_z
Ti1 Ti 0.250 0.250 0.250
Fe1 Fe 0.000 0.000 0.000
Ir1 Ir 0.000 0.000 0.500
```

No. 3
Entry from the Materials Project: an optimized crystal structure of Dy3GaFeS7 (PBE-GGA).

The magnetic moment comes out at 0.00 μB/f.u.

```
data_Dy3GaFeS7
_chemical_formula_sum 'Dy6 Ga2 Fe2 S14'
_space_group_name_H-M_alt 'P 63'
_space_group_IT_number 173
_space_group_name_Hall 'P 6c'
_cell_length_a 9.4983
_cell_length_b 9.4983
_cell_length_c 6.1602
_cell_angle_alpha 90.00
_cell_angle_beta 90.00
_cell_angle_gamma 120.00
loop_
_atom_site_label
_atom_site_type_symbol
_atom_site_fract_x
_atom_site_fract_y
_atom_site_fract_z
Dy1 Dy 0.1549 0.7815 0.0000
Ga1 Ga 0.3333 0.6667 0.4317
Fe1 Fe 0.0000 0.0000 0.3354
S1 S 0.0856 0.5196 0.2736
S2 S 0.0931 0.8754 0.5917
S3 S 0.3333 0.6667 0.7965
```

No. 4
Entry from the Materials Project: an optimized crystal structure of BiAuCl6 (PBE-GGA).

```
data_BiAuCl6
_chemical_formula_sum 'Bi4 Au4 Cl24'
_space_group_name_H-M_alt 'P -1'
_space_group_IT_number 2
_space_group_name_Hall '-P 1'
_cell_length_a 7.692
_cell_length_b 10.172
_cell_length_c 14.345
_cell_angle_alpha 103.91
_cell_angle_beta 96.29
_cell_angle_gamma 111.83
loop_
_atom_site_label
_atom_site_type_symbol
_atom_site_fract_x
_atom_site_fract_y
_atom_site_fract_z
Bi1 Bi 0.032 0.185 0.128
Bi2 Bi 0.404 0.569 0.379
Au1 Au 0.000 0.500 0.000
Au2 Au 0.294 0.131 0.766
Au3 Au 0.500 0.000 0.500
Cl1 Cl 0.024 0.962 0.218
Cl2 Cl 0.043 0.445 0.275
Cl3 Cl 0.224 0.405 0.033
Cl4 Cl 0.231 0.700 0.970
Cl5 Cl 0.241 0.776 0.478
Cl6 Cl 0.243 0.066 0.025
Cl7 Cl 0.266 0.451 0.514
Cl8 Cl 0.272 0.342 0.743
Cl9 Cl 0.297 0.120 0.497
Cl10 Cl 0.314 0.917 0.787
Cl11 Cl 0.387 0.311 0.259
Cl12 Cl 0.391 0.776 0.250
```

No. 5
Entry from the Materials Project: an optimized crystal structure of SrAgGe (PBE-GGA).

The magnetic moment comes out at 0.00 μB/f.u.

```
data_SrAgGe
_chemical_formula_sum 'Sr10 Ag10 Ge10'
_space_group_name_H-M_alt 'C 1 m 1'
_space_group_IT_number 8
_space_group_name_Hall 'C -2y'
_cell_length_a 11.174
_cell_length_b 4.731
_cell_length_c 14.956
_cell_angle_alpha 90.00
_cell_angle_beta 103.62
_cell_angle_gamma 90.00
loop_
_atom_site_label
_atom_site_type_symbol
_atom_site_fract_x
_atom_site_fract_y
_atom_site_fract_z
Sr1 Sr 0.000 0.000 0.000
Sr2 Sr 0.026 0.500 0.376
Sr3 Sr 0.146 0.000 0.770
Sr4 Sr 0.262 0.500 0.187
Sr5 Sr 0.380 0.000 0.610
Ag1 Ag 0.056 0.000 0.221
Ag2 Ag 0.173 0.500 0.599
Ag3 Ag 0.235 0.000 0.393
Ag4 Ag 0.294 0.000 0.994
Ag5 Ag 0.350 0.500 0.780
Ge1 Ge 0.064 0.000 0.532
Ge2 Ge 0.186 0.500 0.929
Ge3 Ge 0.340 0.500 0.449
Ge4 Ge 0.460 0.000 0.842
Ge5 Ge 0.463 0.000 0.155
```

No. 6
Entry from the Materials Project: an optimized crystal structure of Te2MoW3S6 (PBE-GGA).

The energy relative to the lowest polymorph listed for this composition comes out at 38 meV/atom. The magnetic moment comes out at 0.00 μB/f.u.

```
data_Te2MoW3S6
_chemical_formula_sum 'Te2 Mo1 W3 S6'
_space_group_name_H-M_alt 'P 3 m 1'
_space_group_IT_number 156
_space_group_name_Hall 'P 3 -2"'
_cell_length_a 3.2720
_cell_length_b 3.2720
_cell_length_c 37.2078
_cell_angle_alpha 90.00
_cell_angle_beta 90.00
_cell_angle_gamma 120.00
loop_
_atom_site_label
_atom_site_type_symbol
_atom_site_fract_x
_atom_site_fract_y
_atom_site_fract_z
Te1 Te 0.0000 0.0000 0.0000
Te2 Te 0.0000 0.0000 0.1043
Mo1 Mo 0.0000 0.0000 0.4885
W1 W 0.0000 0.0000 0.8642
W2 W 0.3333 0.6667 0.0522
W3 W 0.3333 0.6667 0.6764
S1 S 0.0000 0.0000 0.6348
S2 S 0.0000 0.0000 0.7179
S3 S 0.3333 0.6667 0.4472
S4 S 0.3333 0.6667 0.5298
S5 S 0.3333 0.6667 0.8227
S6 S 0.3333 0.6667 0.9057
```

No. 7
Entry from the Materials Project: an optimized crystal structure of NdEuHf2O6 (PBE-GGA).

The magnetic moment comes out at 7.13 μB/f.u.

```
data_NdEuHf2O6
_chemical_formula_sum 'Nd2 Eu2 Hf4 O12'
_space_group_name_H-M_alt 'C m m m'
_space_group_IT_number 65
_space_group_name_Hall '-C 2 2'
_cell_length_a 7.966
_cell_length_b 8.096
_cell_length_c 4.216
_cell_angle_alpha 90.00
_cell_angle_beta 90.00
_cell_angle_gamma 90.00
loop_
_atom_site_label
_atom_site_type_symbol
_atom_site_fract_x
_atom_site_fract_y
_atom_site_fract_z
Nd1 Nd 0.000 0.000 0.000
Eu1 Eu 0.000 0.500 0.000
Hf1 Hf 0.250 0.250 0.500
O1 O 0.000 0.319 0.500
O2 O 0.177 0.000 0.500
O3 O 0.250 0.250 0.000
```

No. 8
Entry from the Materials Project: an optimized crystal structure of Dy2Ti3Si4 (PBE-GGA).

```
data_Dy2Ti3Si4
_chemical_formula_sum 'Dy8 Ti12 Si16'
_space_group_name_H-M_alt 'P 41 21 2'
_space_group_IT_number 92
_space_group_name_Hall 'P 4abw 2nw'
_cell_length_a 7.051
_cell_length_b 7.051
_cell_length_c 12.967
_cell_angle_alpha 90.00
_cell_angle_beta 90.00
_cell_angle_gamma 90.00
loop_
_atom_site_label
_atom_site_type_symbol
_atom_site_fract_x
_atom_site_fract_y
_atom_site_fract_z
Dy1 Dy 0.003 0.340 0.033
Ti1 Ti 0.008 0.152 0.623
Ti2 Ti 0.173 0.827 0.750
Si1 Si 0.047 0.709 0.935
Si2 Si 0.130 0.202 0.815
```

Ordered raw total energy results: -99.55; -143.08; -143.71; -93.70; -103.82; -87.83; -193.90; -247.51; unit eV per cell.
Ordered formation energy results: -2.1782; -0.6677; -1.7587; -1.1068; -0.4122; -0.8353; -3.6446; -0.7769; unit eV/atom.